# 1
KCuF3 after structural relaxation, computed with PBE-GGA.

Structure (CIF):
```
data_KCuF3
_symmetry_space_group_name_H-M 'I 4/m c m'
_symmetry_Int_Tables_number 140
_symmetry_space_group_name_Hall '-I 4 2c'
_cell_length_a 5.864
_cell_length_b 5.864
_cell_length_c 7.999
_cell_angle_alpha 90.00
_cell_angle_beta 90.00
_cell_angle_gamma 90.00
loop_
_atom_site_label
_atom_site_type_symbol
_atom_site_fract_x
_atom_site_fract_y
_atom_site_fract_z
K1 K 0.000 0.000 0.250
Cu1 Cu 0.000 0.500 0.000
F1 F 0.000 0.500 0.250
F2 F 0.235 0.265 0.000
```

Properties
- ΔE_f (eV per atom) = -2.36


# 2
Gd2Al3Ge4 after structural relaxation, computed with PBE-GGA.

Structure (CIF):
```
data_Gd2Al3Ge4
_symmetry_space_group_name_H-M 'C m c e'
_symmetry_Int_Tables_number 64
_symmetry_space_group_name_Hall '-C 2ac 2'
_cell_length_a 5.882
_cell_length_b 15.015
_cell_length_c 7.976
_cell_angle_alpha 90.00
_cell_angle_beta 90.00
_cell_angle_gamma 90.00
loop_
_atom_site_label
_atom_site_type_symbol
_atom_site_fract_x
_atom_site_fract_y
_atom_site_fract_z
Gd1 Gd 0.000 0.115 0.081
Al1 Al 0.000 0.000 0.500
Al2 Al 0.250 0.218 0.750
Ge1 Ge 0.000 0.185 0.449
Ge2 Ge 0.250 0.049 0.750
```

Properties
- ΔE_f (eV per atom) = -0.46
- total magnetization (μB/f.u.) = 13.91


# 3
Fe3Co after structural relaxation, computed with PBE-GGA.

Structure (CIF):
```
data_Fe3Co
_symmetry_space_group_name_H-M 'P 4/m m m'
_symmetry_Int_Tables_number 123
_symmetry_space_group_name_Hall '-P 4 2'
_cell_length_a 4.033
_cell_length_b 4.033
_cell_length_c 2.842
_cell_angle_alpha 90.00
_cell_angle_beta 90.00
_cell_angle_gamma 90.00
loop_
_atom_site_label
_atom_site_type_symbol
_atom_site_fract_x
_atom_site_fract_y
_atom_site_fract_z
Fe1 Fe 0.000 0.000 0.000
Fe2 Fe 0.000 0.500 0.500
Co1 Co 0.500 0.500 0.000
```

Properties
- ΔE_f (eV per atom) = -0.05


Repeat the third record exactly.
Fe3Co after structural relaxation, computed with PBE-GGA.

Structure (CIF):
```
data_Fe3Co
_symmetry_space_group_name_H-M 'P 4/m m m'
_symmetry_Int_Tables_number 123
_symmetry_space_group_name_Hall '-P 4 2'
_cell_length_a 4.033
_cell_length_b 4.033
_cell_length_c 2.842
_cell_angle_alpha 90.00
_cell_angle_beta 90.00
_cell_angle_gamma 90.00
loop_
_atom_site_label
_atom_site_type_symbol
_atom_site_fract_x
_atom_site_fract_y
_atom_site_fract_z
Fe1 Fe 0.000 0.000 0.000
Fe2 Fe 0.000 0.500 0.500
Co1 Co 0.500 0.500 0.000
```

Properties
- ΔE_f (eV per atom) = -0.05